i | ## Li2Fe3F8 (GGA+U)

Data for a relaxed structure of Li2Fe3F8. Values from VASP.

SG   P2_1/c, No. 14

Structure (Quantum ESPRESSO input):
```
&SYSTEM
  ibrav = 0, nat = 52, ntyp = 3
/
ATOMIC_SPECIES
F 19.00 F.upf
Li 6.94 Li.upf
Fe 55.84 Fe.upf
CELL_PARAMETERS angstrom
-3.0438 -7.0228 8.6053
5.4078 1.6929 3.2944
-3.6706 7.0043 4.4179
ATOMIC_POSITIONS crystal
F 0.0733 0.2478 0.4985
F 0.0400 0.6653 0.9108
Li 0.0716 0.7975 0.4011
F 0.6873 0.6446 0.4722
F 0.2776 0.8624 0.0878
Fe 0.4032 0.8165 0.2597
F 0.9267 0.7522 0.5015
F 0.5400 0.8347 0.0892
F 0.5733 0.2522 0.5015
F 0.4089 0.1164 0.2574
F 0.7159 0.0850 0.2365
F 0.3127 0.3554 0.5278
F 0.7224 0.1376 0.9122
Li 0.9284 0.2025 0.5989
F 0.7841 0.5850 0.2365
Fe 0.8977 0.1398 0.9351
Li 0.3822 0.9006 0.9267
F 0.2841 0.9150 0.7635
F 0.2159 0.4150 0.7635
Li 0.4284 0.2975 0.4011
Fe 0.7039 0.3579 0.3616
F 0.4600 0.1653 0.9108
F 0.5807 0.3844 0.0976
Fe 0.1023 0.8602 0.0649
F 0.4193 0.6156 0.9024
Fe 0.0968 0.3165 0.2597
Fe 0.2961 0.6421 0.6384
F 0.5911 0.8836 0.7426
F 0.0968 0.0203 0.2558
F 0.9089 0.3836 0.7426
F 0.9600 0.3347 0.0892
Fe 0.6023 0.6398 0.9351
Fe 0.9032 0.6835 0.7403
F 0.9193 0.8844 0.0976
Fe 0.5968 0.1835 0.7403
F 0.0807 0.1156 0.9024
F 0.4032 0.5203 0.2558
Fe 0.3977 0.3602 0.0649
F 0.0911 0.6164 0.2574
F 0.2224 0.3624 0.0878
F 0.5968 0.4797 0.7442
Li 0.8822 0.5994 0.0733
F 0.1873 0.8554 0.5278
F 0.4267 0.7478 0.4985
Li 0.6178 0.0994 0.0733
F 0.8127 0.1446 0.4722
Fe 0.7961 0.8579 0.3616
Li 0.5716 0.7025 0.5989
Li 0.1178 0.4006 0.9267
F 0.7776 0.6376 0.9122
Fe 0.2039 0.1421 0.6384
F 0.9032 0.9797 0.7442
```


ii | ## Li2Fe3F8 (GGA+U)

Data for a relaxed structure of Li2Fe3F8. Values from VASP.

SG   Cmce, No. 64

Structure (Quantum ESPRESSO input):
```
&SYSTEM
  ibrav = 0, nat = 26, ntyp = 3
/
ATOMIC_SPECIES
F 19.00 F.upf
Li 6.94 Li.upf
Fe 55.84 Fe.upf
CELL_PARAMETERS angstrom
3.1842 -5.9948 0.0000
3.1842 5.9948 0.0000
0.0000 0.0000 8.6336
ATOMIC_POSITIONS crystal
F 0.7509 0.2491 0.7402
F 0.3638 0.1349 0.9838
F 0.2509 0.7491 0.7598
F 0.5099 0.4901 0.7455
F 0.8638 0.6349 0.5162
Li 0.3789 0.6211 0.8866
Fe 0.0000 0.0000 0.0000
F 0.4901 0.5099 0.2545
Fe 0.3906 0.1094 0.7500
F 0.3651 0.1362 0.5162
F 0.7491 0.2509 0.2402
Fe 0.8906 0.6094 0.7500
Li 0.1211 0.8789 0.3866
Li 0.8789 0.1211 0.6134
Fe 0.1094 0.3906 0.2500
F 0.0099 0.9901 0.7545
F 0.1362 0.3651 0.4838
Fe 0.6094 0.8906 0.2500
F 0.2491 0.7509 0.2598
F 0.9901 0.0099 0.2455
F 0.1349 0.3638 0.0162
F 0.6362 0.8651 0.0162
F 0.6349 0.8638 0.4838
Fe 0.5000 0.5000 0.5000
F 0.8651 0.6362 0.9838
Li 0.6211 0.3789 0.1134
```


ii (0.056 eV/atom below the next structure)


i | ## Li2MnP2O7 (GGA+U)

Data for a relaxed structure of Li2MnP2O7. Values from VASP.

SG   P2_1, No. 4

Structure (Quantum ESPRESSO input):
```
&SYSTEM
  ibrav = 0, nat = 48, ntyp = 4
/
ATOMIC_SPECIES
Li 6.94 Li.upf
O 16.00 O.upf
P 30.97 P.upf
Mn 54.94 Mn.upf
CELL_PARAMETERS angstrom
-0.3302 -6.9788 4.7743
6.9738 -1.5262 -1.7486
6.2600 4.1833 6.5478
ATOMIC_POSITIONS crystal
Li 0.1155 0.2651 0.3843
O 0.3016 0.4099 0.4267
O 0.8551 0.6469 0.8564
P 0.7629 0.1548 0.9581
O 0.6012 0.1978 0.3613
O 0.1012 0.8022 0.6387
Li 0.6379 0.8310 0.1246
O 0.8391 0.3467 0.4443
P 0.1943 0.4233 0.0718
O 0.1448 0.3626 0.6506
O 0.8799 0.0402 0.4094
O 0.1606 0.6468 0.0616
P 0.3042 0.4259 0.5759
O 0.6948 0.5812 0.0808
O 0.7928 0.0521 0.1180
Li 0.9197 0.5535 0.1648
Li 0.9138 0.9084 0.7180
O 0.6473 0.0267 0.9143
P 0.2629 0.8452 0.0419
O 0.6448 0.6374 0.3494
Mn 0.9994 0.9811 0.2493
O 0.9081 0.2192 0.8619
Li 0.1379 0.1690 0.8754
O 0.3551 0.3531 0.1436
O 0.1473 0.9733 0.0857
O 0.2141 0.9708 0.3842
O 0.1948 0.4188 0.9192
O 0.4081 0.7808 0.1381
O 0.5553 0.6757 0.8296
O 0.8016 0.5901 0.5733
O 0.0553 0.3243 0.1704
O 0.4428 0.3300 0.6750
O 0.6606 0.3532 0.9384
O 0.9428 0.6700 0.3250
P 0.6943 0.5767 0.9282
Mn 0.9883 0.5167 0.7333
O 0.7141 0.0292 0.6158
Li 0.6155 0.7349 0.6157
P 0.7482 0.1440 0.4560
Mn 0.4994 0.0189 0.7507
P 0.2482 0.8560 0.5440
O 0.3391 0.6533 0.5557
O 0.3799 0.9598 0.5906
Mn 0.4883 0.4833 0.2667
Li 0.4197 0.4465 0.8352
O 0.2928 0.9479 0.8820
P 0.8042 0.5741 0.4241
Li 0.4138 0.0916 0.2820
```


ii | ## Li2MnP2O7 (GGA+U)

Data for a relaxed structure of Li2MnP2O7. Values from VASP.

SG   C2/c, No. 15

Structure (Quantum ESPRESSO input):
```
&SYSTEM
  ibrav = 0, nat = 24, ntyp = 4
/
ATOMIC_SPECIES
P 30.97 P.upf
O 16.00 O.upf
Li 6.94 Li.upf
Mn 54.94 Mn.upf
CELL_PARAMETERS angstrom
2.8339 7.2080 0.0000
-2.8339 7.2080 0.0000
0.0000 3.6442 7.1317
ATOMIC_POSITIONS crystal
P 0.5237 0.2475 0.8575
P 0.2475 0.5237 0.3575
O 0.7517 0.6357 0.0865
Li 0.6209 0.9259 0.3074
O 0.9389 0.3070 0.7820
O 0.3473 0.8820 0.9731
O 0.6930 0.0611 0.7180
O 0.8820 0.3473 0.4731
O 0.3643 0.2483 0.4135
Li 0.3791 0.0741 0.6926
O 0.4905 0.5095 0.2500
Li 0.9259 0.6209 0.8074
P 0.4763 0.7525 0.1425
O 0.6357 0.7517 0.5865
Mn 0.0000 0.0000 0.5000
P 0.7525 0.4763 0.6425
O 0.0611 0.6930 0.2180
Mn 0.0000 0.0000 0.0000
O 0.2483 0.3643 0.9135
O 0.3070 0.9389 0.2820
O 0.1180 0.6527 0.5269
O 0.5095 0.4905 0.7500
Li 0.0741 0.3791 0.1926
O 0.6527 0.1180 0.0269
```


i (0.023 eV/atom below the next structure)


i | ## Li2MnP2O7 (GGA+U)

Data for a relaxed structure of Li2MnP2O7. Values from VASP.

SG   P2_1/c, No. 14

Structure (Quantum ESPRESSO input):
```
&SYSTEM
  ibrav = 0, nat = 96, ntyp = 4
/
ATOMIC_SPECIES
O 16.00 O.upf
Li 6.94 Li.upf
Mn 54.94 Mn.upf
P 30.97 P.upf
CELL_PARAMETERS angstrom
-8.4072 3.9578 3.5607
3.4141 -1.1471 9.3361
5.3949 9.7852 1.8616
ATOMIC_POSITIONS crystal
O 0.7122 0.1888 0.5792
Li 0.7192 0.8887 0.4477
Li 0.0908 0.3458 0.0431
O 0.9125 0.0847 0.2699
Mn 0.5807 0.2979 0.6756
O 0.9657 0.3797 0.2119
O 0.6601 0.4783 0.5510
O 0.6354 0.1164 0.1411
O 0.0869 0.4751 0.6327
O 0.5637 0.4366 0.1119
O 0.8984 0.4053 0.7758
Li 0.0809 0.3255 0.5506
O 0.3646 0.8836 0.8589
O 0.4381 0.2754 0.5179
Li 0.5810 0.1745 0.4494
O 0.3276 0.6831 0.1525
O 0.0619 0.7754 0.5179
O 0.3984 0.0947 0.2242
P 0.2971 0.1192 0.1081
O 0.1016 0.5947 0.2242
Li 0.9092 0.6542 0.9569
O 0.8299 0.8360 0.3141
O 0.5875 0.5847 0.2699
O 0.3299 0.6640 0.6859
Li 0.4092 0.8458 0.0431
O 0.2878 0.8112 0.4208
O 0.4131 0.9751 0.6327
P 0.3506 0.3766 0.4283
O 0.2771 0.9821 0.0751
Li 0.6079 0.5850 0.9715
Mn 0.2864 0.2461 0.8220
Li 0.2808 0.1113 0.5523
O 0.9131 0.5249 0.3673
O 0.3399 0.5217 0.4490
P 0.4331 0.5593 0.7553
P 0.5467 0.0262 0.2375
Li 0.3921 0.4150 0.0285
O 0.5869 0.0249 0.3673
P 0.2029 0.6192 0.1081
P 0.5669 0.4407 0.2447
O 0.6724 0.3169 0.8475
P 0.1494 0.8766 0.4283
O 0.6322 0.7772 0.9964
O 0.0343 0.6203 0.7881
O 0.0637 0.0634 0.8881
O 0.5619 0.7246 0.4821
O 0.4363 0.5634 0.8881
O 0.9193 0.1120 0.7040
O 0.2229 0.4821 0.0751
P 0.0669 0.0593 0.7553
O 0.4657 0.1203 0.7881
P 0.6494 0.6234 0.5717
O 0.8276 0.8169 0.8475
O 0.1724 0.1831 0.1525
O 0.4193 0.3880 0.2960
O 0.4125 0.4153 0.7301
O 0.1354 0.3836 0.8589
Li 0.7808 0.3887 0.4477
O 0.1701 0.1640 0.6859
O 0.5807 0.6120 0.7040
O 0.9363 0.9366 0.1119
Mn 0.9193 0.7979 0.6756
P 0.0467 0.4738 0.7625
Mn 0.4193 0.7021 0.3244
Mn 0.0807 0.2021 0.3244
Li 0.1079 0.9150 0.0285
O 0.8646 0.6164 0.1411
O 0.7229 0.0179 0.9249
P 0.7029 0.8808 0.8919
Li 0.2192 0.6113 0.5523
O 0.8678 0.2772 0.9964
O 0.0807 0.8880 0.2960
Li 0.4190 0.8255 0.5506
O 0.7771 0.5179 0.9249
O 0.8399 0.9783 0.5510
O 0.9381 0.2246 0.4821
Li 0.9190 0.6745 0.4494
O 0.6016 0.9053 0.7758
P 0.4533 0.9738 0.7625
O 0.7878 0.6888 0.5792
O 0.2122 0.3112 0.4208
P 0.9331 0.9407 0.2447
P 0.8506 0.1234 0.5717
Mn 0.7136 0.7539 0.1780
Mn 0.7864 0.2539 0.1780
P 0.7971 0.3808 0.8919
Li 0.5908 0.1542 0.9569
O 0.1601 0.0217 0.4490
Li 0.8921 0.0850 0.9715
O 0.6701 0.3360 0.3141
Mn 0.2136 0.7461 0.8220
O 0.1322 0.7228 0.0036
O 0.3678 0.2228 0.0036
P 0.9533 0.5262 0.2375
O 0.5343 0.8797 0.2119
O 0.0875 0.9153 0.7301
```


ii | ## Li2MnP2O7 (GGA+U)

Data for a relaxed structure of Li2MnP2O7. Values from VASP.

SG   C2/c, No. 15

Structure (Quantum ESPRESSO input):
```
&SYSTEM
  ibrav = 0, nat = 24, ntyp = 4
/
ATOMIC_SPECIES
Li 6.94 Li.upf
O 16.00 O.upf
P 30.97 P.upf
Mn 54.94 Mn.upf
CELL_PARAMETERS angstrom
2.5633 4.8130 0.0000
-2.5633 4.8130 0.0000
0.0000 2.7866 11.4498
ATOMIC_POSITIONS crystal
Li 0.6310 0.1011 0.1384
Li 0.1011 0.6310 0.6384
O 0.5014 0.2726 0.6107
O 0.8688 0.1312 0.7500
O 0.9958 0.7792 0.4658
P 0.6655 0.2647 0.8740
P 0.7353 0.3345 0.6260
P 0.2647 0.6655 0.3740
P 0.3345 0.7353 0.1260
Li 0.8989 0.3690 0.3616
O 0.2208 0.0042 0.0342
O 0.7792 0.9958 0.9658
O 0.1312 0.8688 0.2500
O 0.4077 0.3403 0.3547
Mn 0.0000 0.5000 0.0000
O 0.7274 0.4986 0.8893
Mn 0.5000 0.0000 0.5000
O 0.6597 0.5923 0.1453
Li 0.3690 0.8989 0.8616
O 0.2726 0.5014 0.1107
O 0.4986 0.7274 0.3893
O 0.3403 0.4077 0.8547
O 0.0042 0.2208 0.5342
O 0.5923 0.6597 0.6453
```


iii | ## Li2MnP2O7 (GGA+U)

Data for a relaxed structure of Li2MnP2O7. Values from VASP.

SG   P1, No. 1

Structure (Quantum ESPRESSO input):
```
&SYSTEM
  ibrav = 0, nat = 48, ntyp = 4
/
ATOMIC_SPECIES
O 16.00 O.upf
Li 6.94 Li.upf
Mn 54.94 Mn.upf
P 30.97 P.upf
CELL_PARAMETERS angstrom
0.0002 -0.0003 6.8163
13.0750 0.0003 0.0004
0.0002 7.2524 -0.0003
ATOMIC_POSITIONS crystal
O 0.0192 0.6918 0.2506
O 0.3090 0.3833 0.0733
Li 0.4987 0.2646 0.4995
Mn 0.4970 0.5002 0.9966
Li 0.9985 0.7648 0.4997
O 0.6888 0.6162 0.9233
Li 0.0007 0.2352 0.0000
P 0.1798 0.3877 0.2490
O 0.3092 0.6170 0.0738
O 0.6907 0.6164 0.5732
O 0.1920 0.8832 0.4269
O 0.4809 0.1918 0.2485
P 0.3202 0.1122 0.2504
O 0.9814 0.3083 0.7506
O 0.1882 0.1159 0.0765
P 0.3205 0.8878 0.2507
P 0.1800 0.6123 0.2496
Li 0.5009 0.7355 0.9995
Mn 0.9955 0.9998 0.0056
O 0.8122 0.1161 0.5766
Li 0.5012 0.2647 0.9994
Li 0.4985 0.7351 0.4995
P 0.8204 0.3878 0.7494
O 0.5189 0.8084 0.7484
O 0.3111 0.6161 0.4240
O 0.6911 0.3832 0.5737
P 0.6799 0.8878 0.7502
O 0.1885 0.8838 0.0767
O 0.0745 0.5000 0.2493
O 0.6891 0.3841 0.9238
O 0.0186 0.3083 0.2495
O 0.8086 0.1167 0.9268
O 0.9807 0.6918 0.7496
O 0.5744 0.0000 0.7501
O 0.3107 0.3834 0.4236
O 0.9262 0.5000 0.7491
O 0.8083 0.8830 0.9265
O 0.8119 0.8841 0.5763
O 0.1918 0.1170 0.4266
O 0.5194 0.1918 0.7492
P 0.6802 0.1122 0.7505
Mn 0.0047 0.0001 0.5057
O 0.4815 0.8083 0.2493
P 0.8200 0.6122 0.7488
O 0.4261 0.0000 0.2504
Li 0.9987 0.2355 0.4997
Li 0.0006 0.7646 0.0000
Mn 0.5007 0.4998 0.4997
```


iv | ## Li2MnP2O7 (GGA+U)

Data for a relaxed structure of Li2MnP2O7. Values from VASP.

SG   P2_1/c, No. 14

Structure (Quantum ESPRESSO input):
```
&SYSTEM
  ibrav = 0, nat = 48, ntyp = 4
/
ATOMIC_SPECIES
O 16.00 O.upf
Mn 54.94 Mn.upf
P 30.97 P.upf
Li 6.94 Li.upf
CELL_PARAMETERS angstrom
-0.0034 0.0000 5.0564
8.3526 0.0000 -0.4188
0.0000 13.1414 0.0000
ATOMIC_POSITIONS crystal
O 0.4688 0.6795 0.4841
O 0.9128 0.7417 0.5707
Mn 0.7302 0.3593 0.3707
O 0.2931 0.4012 0.0807
O 0.3930 0.1088 0.1054
P 0.6889 0.9573 0.3096
O 0.7931 0.9012 0.4193
O 0.6070 0.8912 0.8946
Li 0.7730 0.1623 0.1452
Li 0.2730 0.6623 0.3548
Mn 0.2302 0.8593 0.1293
O 0.0677 0.0232 0.7612
P 0.2651 0.2225 0.0295
O 0.5673 0.1195 0.3239
O 0.9849 0.3277 0.2276
Li 0.8112 0.8511 0.6966
O 0.5872 0.7583 0.0707
O 0.4323 0.4768 0.2612
O 0.5677 0.5232 0.7388
O 0.0673 0.6195 0.1761
Mn 0.7698 0.1407 0.8707
O 0.5312 0.3205 0.5159
P 0.8111 0.5427 0.8096
Li 0.7270 0.3377 0.6452
O 0.0312 0.8205 0.9841
Li 0.3112 0.3511 0.8034
O 0.4128 0.2417 0.9293
P 0.7349 0.7775 0.9705
Li 0.6888 0.6489 0.1966
O 0.1070 0.3912 0.6054
O 0.0872 0.2583 0.4293
O 0.9323 0.9768 0.2388
O 0.4849 0.8277 0.2724
O 0.8930 0.6088 0.3946
Li 0.1888 0.1489 0.3034
O 0.5151 0.1723 0.7276
Mn 0.2698 0.6407 0.6293
P 0.3111 0.0427 0.6904
O 0.9327 0.3805 0.8239
O 0.9688 0.1795 0.0159
O 0.2069 0.0988 0.5807
O 0.7069 0.5988 0.9193
O 0.4327 0.8805 0.6761
P 0.2349 0.2775 0.5295
P 0.1889 0.4573 0.1904
Li 0.2270 0.8377 0.8548
O 0.0151 0.6723 0.7724
P 0.7651 0.7225 0.4705
```


iv (0.081 eV/atom below the next structure)